Crystalline Na9Ca4Ta2P9O36 at its relaxed geometry, computed with PBE.

Calculated values
M_tot ... 0.000 μB per formula unit
Energy above the most stable polymorph in this dataset ... 0.000 eV/atom
Formation energy ... -2903 meV/atom

a b c (Å): 9.2644 22.5314 24.3183
angles (deg): 90.05 100.91 90.11
Space group P1 (No. 1)
Inequivalent atoms, fractional coordinates:
Na  0.0000  0.0000  0.0000 x1
Na  0.0022  0.5127  0.9860 x1
Na  0.0953  0.3302  0.2233 x1
Na  0.0988  0.7605  0.8790 x1
Na  0.1097  0.8256  0.2294 x1
Na  0.1219  0.5875  0.5513 x1
Na  0.1330  0.4252  0.8961 x1
Na  0.1621  0.4294  0.1079 x1
Na  0.1891  0.2560  0.7840 x1
Na  0.1923  0.1611  0.4244 x1
Na  0.2049  0.6669  0.4324 x1
Na  0.2156  0.7490  0.1121 x1
Na  0.2989  0.0079  0.6577 x1
Na  0.3170  0.9281  0.9874 x1
Na  0.3390  0.5144  0.6736 x1
Na  0.3430  0.4207  0.3145 x1
Na  0.3700  0.2476  0.9907 x1
Na  0.3991  0.2515  0.2026 x1
Na  0.4086  0.0878  0.5457 x1
Na  0.4213  0.8507  0.8703 x1
Na  0.4341  0.9164  0.2205 x1
Na  0.4347  0.7424  0.5424 x1
Na  0.4369  0.3464  0.8756 x1
Na  0.5294  0.1638  0.1129 x1
Na  0.5311  0.0924  0.7644 x1
Na  0.5326  0.5757  0.4435 x1
Na  0.5330  0.6767  0.0994 x1
Na  0.5553  0.2451  0.4517 x1
Na  0.5717  0.9190  0.4357 x1
Na  0.6360  0.5060  0.3209 x1
Na  0.6436  0.6043  0.6561 x1
Na  0.6509  0.9270  0.6436 x1
Na  0.6583  0.7760  0.0012 x1
Na  0.6605  0.0752  0.0014 x1
Na  0.6653  0.4285  0.9858 x1
Na  0.6834  0.0005  0.3232 x1
Na  0.7012  0.2620  0.6648 x1
Na  0.7398  0.2620  0.8730 x1
Na  0.7485  0.9185  0.8933 x1
Na  0.7671  0.3380  0.5484 x1
Na  0.7721  0.8346  0.5452 x1
Na  0.7841  0.7591  0.2061 x1
Na  0.7925  0.4153  0.2258 x1
Na  0.8300  0.4171  0.4326 x1
Na  0.8520  0.6751  0.7756 x1
Na  0.8664  0.2481  0.1129 x1
Na  0.8712  0.6018  0.0976 x1
Na  0.8737  0.9009  0.0980 x1
Na  0.8882  0.0740  0.4417 x1
Na  0.8943  0.1716  0.7773 x1
Na  0.9639  0.7569  0.6647 x1
Na  0.9749  0.4311  0.6460 x1
Na  0.9972  0.1011  0.6525 x1
Na  0.9984  0.5832  0.3324 x1
Ca  0.0915  0.1851  0.2189 x1
Ca  0.1062  0.4938  0.2249 x1
Ca  0.1066  0.6812  0.2134 x1
Ca  0.2117  0.0185  0.4411 x1
Ca  0.2146  0.5192  0.4437 x1
Ca  0.3180  0.6560  0.6594 x1
Ca  0.3194  0.1580  0.6548 x1
Ca  0.4246  0.9956  0.8850 x1
Ca  0.4260  0.1832  0.8736 x1
Ca  0.4402  0.4917  0.8797 x1
Ca  0.5360  0.0219  0.1047 x1
Ca  0.5421  0.3148  0.1042 x1
Ca  0.5461  0.8262  0.1113 x1
Ca  0.6548  0.3545  0.3224 x1
Ca  0.6571  0.8533  0.3249 x1
Ca  0.7442  0.4848  0.5416 x1
Ca  0.7650  0.6900  0.5496 x1
Ca  0.7823  0.9849  0.5449 x1
Ca  0.7889  0.1921  0.5553 x1
Ca  0.8732  0.8220  0.7753 x1
Ca  0.8768  0.3228  0.7759 x1
Ca  0.9856  0.8503  0.9876 x1
Ca  0.9899  0.3621  0.9945 x1
Ca  0.9957  0.6547  0.9941 x1
Ta  0.0952  0.9954  0.2181 x1
Ta  0.1956  0.8236  0.4317 x1
Ta  0.2113  0.3199  0.4370 x1
Ta  0.3200  0.3567  0.6614 x1
Ta  0.3297  0.8552  0.6663 x1
Ta  0.4364  0.6812  0.8806 x1
Ta  0.5343  0.5216  0.1029 x1
Ta  0.6456  0.6618  0.3291 x1
Ta  0.6568  0.1559  0.3275 x1
Ta  0.8750  0.5207  0.7709 x1
Ta  0.8891  0.0161  0.7710 x1
Ta  0.9975  0.1552  0.9959 x1
P  0.0184  0.4208  0.3384 x1
P  0.0229  0.2569  0.6625 x1
P  0.0759  0.9177  0.8743 x1
P  0.0842  0.0896  0.5483 x1
P  0.0914  0.2580  0.8977 x1
P  0.1075  0.4173  0.5381 x1
P  0.1261  0.7598  0.5617 x1
P  0.1334  0.5818  0.8762 x1
P  0.1717  0.4156  0.7679 x1
P  0.1810  0.2587  0.0938 x1
P  0.1993  0.5846  0.1110 x1
P  0.2187  0.0935  0.7756 x1
P  0.2293  0.7543  0.7629 x1
P  0.2304  0.9190  0.1093 x1
P  0.3015  0.7578  0.9894 x1
P  0.3020  0.9232  0.3357 x1
P  0.3142  0.5833  0.3224 x1
P  0.3324  0.0921  0.9874 x1
P  0.3511  0.4181  0.0048 x1
P  0.3601  0.2613  0.3304 x1
P  0.3978  0.0950  0.2221 x1
P  0.4090  0.9170  0.5375 x1
P  0.4255  0.2600  0.5604 x1
P  0.4402  0.4188  0.2009 x1
P  0.4511  0.5930  0.5494 x1
P  0.4564  0.7589  0.2251 x1
P  0.5088  0.4199  0.4365 x1
P  0.5146  0.2559  0.7601 x1
P  0.5369  0.7625  0.4269 x1
P  0.5481  0.5831  0.7816 x1
P  0.5657  0.0939  0.4489 x1
P  0.5772  0.9236  0.7677 x1
P  0.6234  0.7575  0.6608 x1
P  0.6263  0.5832  0.9855 x1
P  0.6418  0.9233  0.9998 x1
P  0.6638  0.4205  0.6745 x1
P  0.6714  0.0840  0.6547 x1
P  0.6945  0.2508  0.9914 x1
P  0.7439  0.2545  0.2242 x1
P  0.7529  0.0880  0.8819 x1
P  0.7585  0.9210  0.2065 x1
P  0.7727  0.7554  0.8920 x1
P  0.7777  0.5890  0.2173 x1
P  0.7879  0.4223  0.8744 x1
P  0.8373  0.4261  0.1071 x1
P  0.8599  0.5854  0.4434 x1
P  0.8671  0.2569  0.4236 x1
P  0.8896  0.7534  0.0989 x1
P  0.9033  0.9222  0.4370 x1
P  0.9055  0.0934  0.1132 x1
P  0.9539  0.7539  0.3302 x1
P  0.9650  0.5826  0.6494 x1
P  0.9846  0.0936  0.3170 x1
P  0.9907  0.9141  0.6729 x1
O  0.0163  0.0432  0.2745 x1
O  0.0160  0.5883  0.4302 x1
O  0.0177  0.5752  0.8180 x1
O  0.0237  0.8560  0.8539 x1
O  0.0254  0.9334  0.9292 x1
O  0.0257  0.7384  0.2810 x1
O  0.0272  0.1531  0.2976 x1
O  0.0272  0.8722  0.4296 x1
O  0.0420  0.2601  0.4310 x1
O  0.0418  0.4638  0.7598 x1
O  0.0510  0.5995  0.9213 x1
O  0.0532  0.0716  0.7760 x1
O  0.0582  0.0780  0.3763 x1
O  0.0612  0.2089  0.9423 x1
O  0.0644  0.4098  0.2818 x1
O  0.0746  0.3187  0.9233 x1
O  0.0746  0.7587  0.3868 x1
O  0.0783  0.7639  0.7778 x1
O  0.0795  0.4787  0.3658 x1
O  0.0845  0.2076  0.0566 x1
O  0.0922  0.3673  0.3787 x1
O  0.0957  0.9146  0.0616 x1
O  0.0981  0.5799  0.0536 x1
O  0.0999  0.1987  0.6562 x1
O  0.1054  0.3545  0.7725 x1
O  0.1265  0.3182  0.0683 x1
O  0.1326  0.5857  0.6589 x1
O  0.1434  0.4794  0.5210 x1
O  0.1439  0.0942  0.4931 x1
O  0.1473  0.3082  0.6660 x1
O  0.1484  0.3702  0.4949 x1
O  0.1504  0.2559  0.1537 x1
O  0.1580  0.5355  0.1489 x1
O  0.1604  0.7821  0.5042 x1
O  0.1597  0.9148  0.6685 x1
O  0.1672  0.1048  0.9957 x1
O  0.1741  0.9418  0.1651 x1
O  0.1903  0.4326  0.0073 x1
O  0.1906  0.9323  0.2787 x1
O  0.1941  0.7121  0.0036 x1
O  0.1974  0.6990  0.5730 x1
O  0.1999  0.6463  0.1371 x1
O  0.2005  0.6221  0.2852 x1
O  0.2029  0.4032  0.5977 x1
O  0.2089  0.8028  0.6110 x1
O  0.2127  0.5232  0.8863 x1
O  0.2176  0.0839  0.5976 x1
O  0.2227  0.7044  0.7217 x1
O  0.2249  0.8176  0.9721 x1
O  0.2293  0.1572  0.7978 x1
O  0.2337  0.4186  0.7108 x1
O  0.2348  0.0876  0.7140 x1
O  0.2406  0.9259  0.8783 x1
O  0.2427  0.2489  0.2796 x1
O  0.2484  0.6328  0.8673 x1
O  0.2494  0.8647  0.3665 x1
O  0.2497  0.2516  0.8882 x1
O  0.2810  0.8129  0.7321 x1
O  0.2818  0.4253  0.2102 x1
O  0.2834  0.0440  0.2311 x1
O  0.2888  0.4280  0.8188 x1
O  0.2918  0.7503  0.2206 x1
O  0.2937  0.5882  0.3836 x1
O  0.2979  0.2585  0.3876 x1
O  0.3055  0.9737  0.3762 x1
O  0.3063  0.5198  0.2998 x1
O  0.3071  0.8591  0.1263 x1
O  0.3186  0.1535  0.2120 x1
O  0.3200  0.5980  0.4991 x1
O  0.3301  0.2740  0.5009 x1
O  0.3303  0.8734  0.4890 x1
O  0.3312  0.0304  0.9612 x1
O  0.3317  0.0544  0.8126 x1
O  0.3370  0.9647  0.0945 x1
O  0.3417  0.2442  0.0911 x1
O  0.3416  0.7446  0.8195 x1
O  0.3545  0.9796  0.5237 x1
O  0.3577  0.7349  0.9334 x1
O  0.3644  0.5720  0.1027 x1
O  0.3665  0.7608  0.4314 x1
O  0.3728  0.8980  0.5964 x1
O  0.3739  0.1412  0.9495 x1
O  0.3816  0.4210  0.9448 x1
O  0.3834  0.3072  0.6035 x1
O  0.3832  0.3692  0.4325 x1
O  0.3890  0.5823  0.6035 x1
O  0.3909  0.1981  0.5780 x1
O  0.3986  0.0904  0.4395 x1
O  0.4055  0.3586  0.0301 x1
O  0.4261  0.3225  0.3258 x1
O  0.4335  0.0967  0.0448 x1
O  0.4346  0.4783  0.4445 x1
O  0.4357  0.7619  0.0370 x1
O  0.4394  0.3089  0.7194 x1
O  0.4475  0.4692  0.0420 x1
O  0.4531  0.9131  0.3216 x1
O  0.4559  0.1974  0.7331 x1
O  0.4570  0.3581  0.1752 x1
O  0.4571  0.9217  0.7104 x1
O  0.4686  0.2672  0.8166 x1
O  0.4702  0.4678  0.1561 x1
O  0.4757  0.5983  0.7219 x1
O  0.4795  0.6061  0.3239 x1
O  0.4803  0.0774  0.1769 x1
O  0.4892  0.4170  0.6679 x1
O  0.4898  0.2133  0.3387 x1
O  0.5043  0.5237  0.8008 x1
O  0.5072  0.8209  0.2451 x1
O  0.5081  0.7432  0.1704 x1
O  0.5082  0.8101  0.6696 x1
O  0.5084  0.9377  0.8179 x1
O  0.5140  0.1019  0.2801 x1
O  0.5153  0.0868  0.6672 x1
O  0.5153  0.6338  0.8236 x1
O  0.5320  0.7012  0.6559 x1
O  0.5326  0.6318  0.9447 x1
O  0.5417  0.6511  0.5525 x1
O  0.5430  0.9160  0.9404 x1
O  0.5460  0.7149  0.2726 x1
O  0.5547  0.4316  0.2546 x1
O  0.5557  0.5423  0.5413 x1
O  0.5675  0.4222  0.3811 x1
O  0.5697  0.7095  0.3871 x1
O  0.5703  0.8210  0.4017 x1
O  0.5749  0.2461  0.9381 x1
O  0.5754  0.9099  0.5412 x1
O  0.5812  0.5861  0.0459 x1
O  0.5853  0.5234  0.9596 x1
O  0.5877  0.2688  0.5576 x1
O  0.6050  0.7343  0.8885 x1
O  0.6052  0.9816  0.0267 x1
O  0.6120  0.8704  0.0369 x1
O  0.6178  0.1467  0.4880 x1
O  0.6203  0.1078  0.3911 x1
O  0.6238  0.7519  0.4856 x1
O  0.6310  0.4267  0.8842 x1
O  0.6320  0.2398  0.1705 x1
O  0.6316  0.2444  0.0454 x1
O  0.6334  0.4029  0.4849 x1
O  0.6447  0.0353  0.4684 x1
O  0.6498  0.5728  0.1669 x1
O  0.6600  0.8660  0.7745 x1
O  0.6614  0.1425  0.8592 x1
O  0.6644  0.0379  0.9020 x1
O  0.6641  0.9626  0.1660 x1
O  0.6740  0.7736  0.6060 x1
O  0.6818  0.2577  0.7648 x1
O  0.6854  0.0306  0.6167 x1
O  0.6867  0.9756  0.7577 x1
O  0.7059  0.2064  0.2692 x1
O  0.7070  0.4296  0.6176 x1
O  0.7072  0.6115  0.2682 x1
O  0.7154  0.9242  0.2639 x1
O  0.7190  0.3156  0.2475 x1
O  0.7213  0.4757  0.7136 x1
O  0.7224  0.5833  0.7821 x1
O  0.7249  0.1428  0.6330 x1
O  0.7249  0.7527  0.1040 x1
O  0.7273  0.4813  0.1061 x1
O  0.7313  0.3637  0.7013 x1
O  0.7429  0.0797  0.1036 x1
O  0.7471  0.6029  0.3867 x1
O  0.7497  0.3689  0.1096 x1
O  0.7538  0.7541  0.7098 x1
O  0.7544  0.8583  0.1808 x1
O  0.7782  0.8186  0.9165 x1
O  0.7788  0.9231  0.3856 x1
O  0.7821  0.3080  0.9885 x1
O  0.7834  0.0742  0.7137 x1
O  0.7887  0.5972  0.9949 x1
O  0.8017  0.3136  0.3960 x1
O  0.8046  0.1957  0.9924 x1
O  0.8068  0.9238  0.9949 x1
O  0.8100  0.0935  0.3167 x1
O  0.8103  0.2012  0.3851 x1
O  0.8112  0.5225  0.4572 x1
O  0.8125  0.3613  0.8509 x1
O  0.8136  0.7509  0.8341 x1
O  0.8210  0.2491  0.4802 x1
O  0.8238  0.0652  0.8311 x1
O  0.8261  0.4705  0.8293 x1
O  0.8414  0.9050  0.4888 x1
O  0.8439  0.6298  0.4892 x1
O  0.8459  0.7011  0.3396 x1
O  0.8511  0.4196  0.3334 x1
O  0.8663  0.6389  0.1969 x1
O  0.8682  0.7144  0.9328 x1
O  0.8685  0.8108  0.3199 x1
O  0.8698  0.5344  0.2398 x1
O  0.8810  0.1039  0.9321 x1
O  0.8881  0.6416  0.6299 x1
O  0.8911  0.9240  0.6164 x1
O  0.8984  0.2731  0.6138 x1
O  0.9004  0.4327  0.0531 x1
O  0.9001  0.4370  0.9280 x1
O  0.9010  0.2503  0.2143 x1
O  0.9097  0.5693  0.7070 x1
O  0.9133  0.5299  0.6102 x1
O  0.9183  0.8064  0.0615 x1
O  0.9261  0.6952  0.0717 x1
O  0.9266  0.9425  0.2107 x1
O  0.9456  0.4089  0.5415 x1
O  0.9467  0.1533  0.1389 x1
O  0.9506  0.0908  0.0527 x1
O  0.9556  0.8562  0.6989 x1
O  0.9566  0.4309  0.1604 x1
O  0.9623  0.2547  0.7175 x1
O  0.9623  0.9682  0.7126 x1
O  0.9638  0.7627  0.5646 x1
O  0.9771  0.2454  0.8438 x1
O  0.9850  0.0352  0.5507 x1
O  0.9866  0.9621  0.8271 x1
O  0.9872  0.9802  0.4429 x1
O  0.9891  0.7608  0.1580 x1
O  0.9922  0.1451  0.5541 x1
O  0.9986  0.0446  0.1536 x1